LiBr: optimized geometry, PBE.

Values from the calculation:
largest piezoelectric modulus = 0.29 C/m2
MP2020-corrected energy = -3.609 eV/atom
final energy = -3.342 eV per atom

Cell lengths 4.1882, 4.1882, 6.8083 Å; angles 90.00, 90.00, 120.00 degrees
Closest atoms and distances in Å follow each position.
Sites, in units of the cell vectors:
1 Li 0.3333 0.6667 0.0000  4 Br 2.56
2 Li 0.6667 0.3333 0.5000  4 Br 2.56
3 Br 0.3333 0.6667 0.6240  4 Li 2.56
4 Br 0.6667 0.3333 0.1240  4 Li 2.56



Na2Pr2MgTi2O8: optimized geometry, PBE.

Values from the calculation:
MP2020-corrected energy = -7.534 eV/atom
final energy = -7.168 eV per atom
energy above the lowest structure with this stoichiometry = 0.098 eV/atom

Cell lengths 3.9176, 3.9176, 12.2108 Å; angles 90.00, 90.00, 90.00 degrees
Closest atoms and distances in Å follow each position.
Sites, in units of the cell vectors:
1 Na 0.0000 0.5000 0.1361  5 O 2.35-2.49, 2 Mg 2.57
2 Na 0.5000 0.0000 0.8639  5 O 2.35-2.49, 2 Mg 2.57
3 Pr 0.0000 0.5000 0.3895  3 O 2.32-2.52
4 Pr 0.5000 0.0000 0.6105  3 O 2.32-2.52
5 Mg 0.0000 0.0000 0.0000  4 O 2.12
6 Ti 0.0000 0.5000 0.7641  5 O 1.96-2.06
7 Ti 0.5000 0.0000 0.2359  5 O 1.96-2.06
8 O 0.0000 0.0000 0.2427  2 Ti 1.96
9 O 0.0000 0.0000 0.7573  2 Ti 1.96
10 O 0.0000 0.5000 0.5792  1 Ti 2.26, 1 Pr 2.32
11 O 0.0000 0.5000 0.9325  1 Ti 2.06, 2 Mg 2.12
12 O 0.5000 0.0000 0.0675  1 Ti 2.06, 2 Mg 2.12
13 O 0.5000 0.0000 0.4208  1 Ti 2.26, 1 Pr 2.32
14 O 0.5000 0.5000 0.2597  2 Ti 1.98
15 O 0.5000 0.5000 0.7403  2 Ti 1.98



TmLuZn2: optimized geometry, PBE.

Values from the calculation:
final energy = -3.238 eV per atom

Cell lengths 4.9458, 4.9458, 4.9458 Å; angles 60.00, 60.00, 60.00 degrees
Closest atoms and distances in Å follow each position.
Sites, in units of the cell vectors:
1 Tm 0.0000 0.0000 0.0000  8 Zn 3.03
2 Lu 0.5000 0.5000 0.5000  8 Zn 3.03
3 Zn 0.2500 0.2500 0.2500  4 Lu 3.03, 4 Tm 3.03
4 Zn 0.7500 0.7500 0.7500  4 Lu 3.03, 4 Tm 3.03



SiO2: optimized geometry, PBE.

Values from the calculation:
MP2020-corrected energy = -8.197 eV/atom
final energy = -7.739 eV per atom

Cell lengths 10.7886, 12.2235, 12.4774 Å; angles 90.99, 92.53, 90.86 degrees
Closest atoms and distances in Å follow each position.
Sites, in units of the cell vectors:
1 Si 0.0000 0.0000 0.0000  3 O 1.53-1.69
2 Si 0.0023 0.5349 0.4482  4 O 1.61-1.66
3 Si 0.0518 0.6779 0.6669  4 O 1.60-1.67
4 Si 0.0517 0.7340 0.3056  4 O 1.59-1.67
5 Si 0.0563 0.1081 0.5197  4 O 1.61-1.67
6 Si 0.1164 0.8678 0.5264  4 O 1.60-1.64
7 Si 0.1423 0.4885 0.7639  4 O 1.60-1.67
8 Si 0.2029 0.1144 0.1244  4 O 1.60-1.65
9 Si 0.2354 0.4109 0.4043  4 O 1.62-1.64
10 Si 0.2679 0.1578 0.6840  4 O 1.62-1.65
11 Si 0.2766 0.1628 0.3599  4 O 1.62-1.64
12 Si 0.2892 0.7482 0.1554  4 O 1.63-1.66
13 Si 0.2916 0.4417 0.9711  4 O 1.64-1.65
14 Si 0.3273 0.5130 0.2054  4 O 1.61-1.64
15 Si 0.3496 0.1896 0.9262  4 O 1.62-1.65
16 Si 0.3572 0.3857 0.6280  4 O 1.62-1.65
17 Si 0.3835 0.9410 0.5866  4 O 1.62-1.63
18 Si 0.3992 0.6726 0.9575  4 O 1.61-1.66
19 Si 0.4989 0.8127 0.7821  4 O 1.61-1.64
20 Si 0.5072 0.9163 0.1877  4 O 1.60-1.66
21 Si 0.5322 0.0540 0.4124  4 O 1.61-1.66
22 Si 0.5536 0.0149 0.9497  4 O 1.61-1.67
23 Si 0.5993 0.4780 0.2519  4 O 1.61-1.64
24 Si 0.6088 0.4934 0.6275  4 O 1.61-1.70
25 Si 0.6270 0.7022 0.1266  4 O 1.61-1.67
26 Si 0.6761 0.7035 0.6346  3 O 1.53-1.67
27 Si 0.7409 0.4081 0.4442  4 O 1.59-1.66
28 Si 0.7516 0.3166 0.1310  4 O 1.57-1.65
29 Si 0.7682 0.1574 0.9681  4 O 1.60-1.75
30 Si 0.8019 0.1554 0.3970  4 O 1.56-1.71
31 Si 0.8418 0.3762 0.9360  4 O 1.60-1.68
32 Si 0.8639 0.8156 0.1292  3 O 1.56-1.59
33 Si 0.8776 0.5365 0.7557  4 O 1.62-1.67
34 Si 0.9859 0.2522 0.0804  4 O 1.58-1.77
35 O 0.0157 0.6096 0.3393  2 Si 1.63-1.66
36 O 0.0254 0.9838 0.8811  1 Si 1.53
37 O 0.0363 0.6091 0.5540  2 Si 1.61-1.63
38 O 0.0379 0.9774 0.5369  2 Si 1.60-1.63
39 O 0.0793 0.8058 0.4121  2 Si 1.59-1.63
40 O 0.0900 0.8000 0.6352  2 Si 1.60-1.64
41 O 0.0964 0.4311 0.4455  2 Si 1.63-1.64
42 O 0.1066 0.0128 0.0981  2 Si 1.63-1.65
43 O 0.1229 0.2282 0.1234  2 Si 1.58-1.65
44 O 0.1270 0.1626 0.6299  2 Si 1.64-1.67
45 O 0.1555 0.7447 0.2130  2 Si 1.64-1.65
46 O 0.1611 0.6197 0.7424  2 Si 1.64-1.65
47 O 0.1623 0.1184 0.4281  2 Si 1.62-1.66
48 O 0.1699 0.4573 0.8898  2 Si 1.64
49 O 0.2386 0.4229 0.6937  2 Si 1.60-1.62
50 O 0.2495 0.5023 0.3121  2 Si 1.61-1.63
51 O 0.2539 0.4638 0.0965  2 Si 1.64-1.65
52 O 0.2548 0.2935 0.3464  2 Si 1.62-1.63
53 O 0.2651 0.8883 0.5179  2 Si 1.63
54 O 0.2662 0.1741 0.8149  2 Si 1.63-1.64
55 O 0.2711 0.1036 0.2405  2 Si 1.60-1.64
56 O 0.2837 0.7259 0.0238  2 Si 1.66
57 O 0.2960 0.1253 0.0276  2 Si 1.61-1.62
58 O 0.3381 0.0451 0.6566  2 Si 1.62-1.63
59 O 0.3389 0.4263 0.5040  2 Si 1.64
60 O 0.3563 0.3221 0.9552  2 Si 1.64-1.65
61 O 0.3577 0.2536 0.6357  2 Si 1.62-1.65
62 O 0.3663 0.6429 0.2003  2 Si 1.64
63 O 0.3659 0.8618 0.1825  2 Si 1.63-1.65
64 O 0.3898 0.5396 0.9442  2 Si 1.63-1.64
65 O 0.4087 0.7254 0.8404  2 Si 1.61-1.63
66 O 0.4165 0.1422 0.4091  2 Si 1.63-1.66
67 O 0.4320 0.8503 0.6712  2 Si 1.61-1.62
68 O 0.4554 0.4487 0.2235  2 Si 1.61
69 O 0.4837 0.1287 0.9156  2 Si 1.65
70 O 0.4881 0.4384 0.6813  2 Si 1.63-1.65
71 O 0.4932 0.9675 0.5053  2 Si 1.63-1.65
72 O 0.5218 0.9146 0.8668  2 Si 1.61-1.63
73 O 0.5279 0.9934 0.2926  2 Si 1.60-1.66
74 O 0.5312 0.6977 0.0242  2 Si 1.61-1.64
75 O 0.5312 0.9782 0.0736  2 Si 1.64-1.65
76 O 0.5694 0.6143 0.5834  2 Si 1.64-1.67
77 O 0.6052 0.8128 0.1990  2 Si 1.64-1.66
78 O 0.6277 0.7537 0.7484  2 Si 1.64-1.65
79 O 0.6399 0.4850 0.3773  2 Si 1.61-1.66
80 O 0.6404 0.5903 0.1926  2 Si 1.61-1.64
81 O 0.6629 0.3655 0.2151  2 Si 1.57-1.62
82 O 0.6667 0.1066 0.4452  2 Si 1.61-1.71
83 O 0.6713 0.3980 0.5581  2 Si 1.61-1.64
84 O 0.6977 0.2038 0.0723  2 Si 1.63-1.64
85 O 0.7023 0.0439 0.9310  2 Si 1.60-1.67
86 O 0.7354 0.5455 0.6986  2 Si 1.67-1.70
87 O 0.7576 0.4087 0.0365  2 Si 1.63-1.65
88 O 0.7664 0.7288 0.0783  2 Si 1.59-1.67
89 O 0.7713 0.2903 0.3982  2 Si 1.59-1.69
90 O 0.7774 0.7534 0.5674  1 Si 1.53
91 O 0.7835 0.2582 0.8830  2 Si 1.65-1.68
92 O 0.8332 0.1019 0.2871  1 Si 1.56
93 O 0.8423 0.4877 0.8706  2 Si 1.60-1.62
94 O 0.8641 0.4864 0.4572  2 Si 1.61-1.63
95 O 0.8965 0.2967 0.1718  2 Si 1.62-1.65
96 O 0.8999 0.9118 0.0559  2 Si 1.56-1.69
97 O 0.9177 0.1320 0.0205  3 Si 1.75-1.87
98 O 0.9206 0.1570 0.4924  2 Si 1.61-1.71
99 O 0.9281 0.7852 0.2397  2 Si 1.57-1.67
100 O 0.9295 0.6616 0.7429  2 Si 1.63-1.67
101 O 0.9806 0.3389 0.9820  2 Si 1.63-1.65
102 O 0.9953 0.4571 0.7254  2 Si 1.66-1.67



K3P11: optimized geometry, PBE.

Values from the calculation:
final energy = -4.807 eV per atom

Cell lengths 10.7384, 13.9198, 10.8690 Å; angles 90.00, 90.00, 90.00 degrees
Closest atoms and distances in Å follow each position.
Sites, in units of the cell vectors:
1 K 0.0000 0.2199 0.2500  7 P 3.36-3.61
2 K 0.0000 0.7801 0.7500  7 P 3.36-3.61
3 K 0.2341 0.4931 0.0699  7 P 3.34-3.63
4 K 0.2341 0.5069 0.5699  7 P 3.34-3.63
5 K 0.2659 0.0069 0.5699  7 P 3.34-3.63
6 K 0.2659 0.9931 0.0699  7 P 3.34-3.63
7 K 0.5000 0.2801 0.7500  7 P 3.36-3.61
8 K 0.5000 0.7199 0.2500  7 P 3.36-3.61
9 K 0.7341 0.0069 0.9301  7 P 3.34-3.63
10 K 0.7341 0.9931 0.4301  7 P 3.34-3.63
11 K 0.7659 0.4931 0.4301  7 P 3.34-3.63
12 K 0.7659 0.5069 0.9301  7 P 3.34-3.63
13 P 0.0000 0.0241 0.7500  2 P 2.18
14 P 0.0000 0.9759 0.2500  2 P 2.18
15 P 0.0110 0.3460 0.5136  2 P 2.17-2.18
16 P 0.0110 0.6540 0.0136  2 P 2.17-2.18
17 P 0.0810 0.1282 0.8766  3 P 2.18-2.26
18 P 0.0810 0.8718 0.3766  3 P 2.18-2.26
19 P 0.0820 0.3758 0.8127  3 P 2.18-2.27
20 P 0.0820 0.6242 0.3127  3 P 2.18-2.27
21 P 0.0891 0.2092 0.5698  3 P 2.17-2.27
22 P 0.0891 0.7908 0.0698  3 P 2.17-2.27
23 P 0.1772 0.2374 0.7558  3 P 2.26-2.27
24 P 0.1772 0.7626 0.2558  3 P 2.26-2.27
25 P 0.3228 0.2626 0.2558  3 P 2.26-2.27
26 P 0.3228 0.7374 0.7558  3 P 2.26-2.27
27 P 0.4109 0.2908 0.0698  3 P 2.17-2.27
28 P 0.4109 0.7092 0.5698  3 P 2.17-2.27
29 P 0.4180 0.1242 0.3127  3 P 2.18-2.27
30 P 0.4180 0.8758 0.8127  3 P 2.18-2.27
31 P 0.4190 0.3718 0.3766  3 P 2.18-2.26
32 P 0.4190 0.6282 0.8766  3 P 2.18-2.26
33 P 0.4890 0.1540 0.0136  2 P 2.17-2.18
34 P 0.4890 0.8460 0.5136  2 P 2.17-2.18
35 P 0.5000 0.4759 0.2500  2 P 2.18
36 P 0.5000 0.5241 0.7500  2 P 2.18
37 P 0.5110 0.1540 0.4864  2 P 2.17-2.18
38 P 0.5110 0.8460 0.9864  2 P 2.17-2.18
39 P 0.5810 0.3718 0.1234  3 P 2.18-2.26
40 P 0.5810 0.6282 0.6234  3 P 2.18-2.26
41 P 0.5820 0.1242 0.1873  3 P 2.18-2.27
42 P 0.5820 0.8758 0.6873  3 P 2.18-2.27
43 P 0.5891 0.2908 0.4302  3 P 2.17-2.27
44 P 0.5891 0.7092 0.9302  3 P 2.17-2.27
45 P 0.6772 0.2626 0.2442  3 P 2.26-2.27
46 P 0.6772 0.7374 0.7442  3 P 2.26-2.27
47 P 0.8228 0.2374 0.7442  3 P 2.26-2.27
48 P 0.8228 0.7626 0.2442  3 P 2.26-2.27
49 P 0.9109 0.2092 0.9302  3 P 2.17-2.27
50 P 0.9109 0.7908 0.4302  3 P 2.17-2.27
51 P 0.9180 0.3758 0.6873  3 P 2.18-2.27
52 P 0.9180 0.6242 0.1873  3 P 2.18-2.27
53 P 0.9190 0.1282 0.6234  3 P 2.18-2.26
54 P 0.9190 0.8718 0.1234  3 P 2.18-2.26
55 P 0.9890 0.3460 0.9864  2 P 2.17-2.18
56 P 0.9890 0.6540 0.4864  2 P 2.17-2.18



Er2Pa2O5: optimized geometry, PBE.

Values from the calculation:
MP2020-corrected energy = -8.845 eV/atom
final energy = -8.463 eV per atom

Cell lengths 4.0942, 4.0942, 9.8269 Å; angles 90.00, 90.00, 90.00 degrees
Closest atoms and distances in Å follow each position.
Sites, in units of the cell vectors:
1 Er 0.0000 0.0000 0.0000  8 O 2.53
2 Er 0.0000 0.0000 0.5000  8 Pa 3.95, 8 O 3.99, 4 Er 4.09
3 Pa 0.5000 0.5000 0.2267  5 O 2.18-2.23
4 Pa 0.5000 0.5000 0.7733  5 O 2.18-2.23
5 O 0.0000 0.5000 0.1516  2 Pa 2.18
6 O 0.0000 0.5000 0.8484  2 Pa 2.18
7 O 0.5000 0.0000 0.1516  2 Pa 2.18
8 O 0.5000 0.0000 0.8484  2 Pa 2.18
9 O 0.5000 0.5000 0.0000  2 Pa 2.23



TmScHg2: optimized geometry, PBE.

Values from the calculation:
final energy = -3.302 eV per atom

Cell lengths 5.0973, 5.0973, 5.0973 Å; angles 60.00, 60.00, 60.00 degrees
Closest atoms and distances in Å follow each position.
Sites, in units of the cell vectors:
1 Tm 0.0000 0.0000 0.0000  8 Hg 3.12
2 Sc 0.5000 0.5000 0.5000  8 Hg 3.12
3 Hg 0.2500 0.2500 0.2500  4 Sc 3.12, 4 Tm 3.12
4 Hg 0.7500 0.7500 0.7500  4 Sc 3.12, 4 Tm 3.12



UTe2: optimized geometry, PBE.

Values from the calculation:
MP2020-corrected energy = -6.818 eV/atom
final energy = -6.537 eV per atom

Cell lengths 7.8618, 7.8618, 7.8618 Å; angles 148.86, 133.63, 56.92 degrees
Closest atoms and distances in Å follow each position.
Sites, in units of the cell vectors:
1 U 0.1332 0.1332 0.0000  8 Te 3.09-3.24
2 U 0.8668 0.8668 0.0000  8 Te 3.09-3.24
3 Te 0.2502 0.5000 0.7502  2 Te 3.09-3.10, 4 U 3.20
4 Te 0.2967 0.7967 0.5000  4 U 3.09-3.24
5 Te 0.7033 0.2033 0.5000  4 U 3.09-3.24
6 Te 0.7498 0.5000 0.2498  2 Te 3.09-3.10, 4 U 3.20



How do the records compare in calculated density? In the order shown, they have 2.8; 5.1; 9.2; 2.1; 1.9; 8.8; 10.9; 9.1 g cm⁻³.